Record 1
VASP calculation (PBE) on a geometry-optimized TaC structure.

Structure (CIF):
```
data_TaC
_space_group_name_H-M_alt 'P 1'
_space_group_IT_number 1
_cell_length_a 4.839
_cell_length_b 4.839
_cell_length_c 4.839
_cell_angle_alpha 90.00
_cell_angle_beta 90.00
_cell_angle_gamma 90.00
loop_
_space_group_symop_operation_xyz
'x,y,z'
loop_
_atom_site_label
_atom_site_type_symbol
_atom_site_fract_x
_atom_site_fract_y
_atom_site_fract_z
Ta1 Ta 0.000 0.000 0.000
Ta2 Ta 0.000 0.500 0.500
Ta3 Ta 0.500 0.000 0.500
Ta4 Ta 0.500 0.500 0.000
C1 C 0.250 0.250 0.750
C2 C 0.250 0.750 0.250
C3 C 0.750 0.250 0.250
C4 C 0.750 0.750 0.750
```

Calculated values
Space group ... No. 216
Energy relative to the lowest polymorph listed for this composition ... 518 meV per atom


Record 2
VASP calculation (PBE) on a geometry-optimized Mg14CoW structure.

Structure (CIF):
```
data_Mg14CoW
_space_group_name_H-M_alt 'P 1'
_space_group_IT_number 1
_cell_length_a 6.175
_cell_length_b 6.175
_cell_length_c 9.773
_cell_angle_alpha 90.00
_cell_angle_beta 90.00
_cell_angle_gamma 120.00
loop_
_space_group_symop_operation_xyz
'x,y,z'
loop_
_atom_site_label
_atom_site_type_symbol
_atom_site_fract_x
_atom_site_fract_y
_atom_site_fract_z
Mg1 Mg 0.000 0.000 0.247
Mg2 Mg 0.000 0.000 0.753
Mg3 Mg 0.021 0.511 0.253
Mg4 Mg 0.021 0.511 0.747
Mg5 Mg 0.333 0.167 0.500
Mg6 Mg 0.337 0.169 0.000
Mg7 Mg 0.489 0.511 0.253
Mg8 Mg 0.489 0.511 0.747
Mg9 Mg 0.489 0.979 0.253
Mg10 Mg 0.489 0.979 0.747
Mg11 Mg 0.831 0.169 0.000
Mg12 Mg 0.831 0.663 0.000
Mg13 Mg 0.833 0.167 0.500
Mg14 Mg 0.833 0.667 0.500
Co1 Co 0.333 0.667 0.500
W1 W 0.333 0.667 0.000
```

Calculated values
Space group ... No. 187
Energy relative to the lowest polymorph listed for this composition ... 11 meV per atom


no.,DFT formation energy (meV per atom)
1,-57
2,207